K6Na2PtW6O36 after structural relaxation, computed with PBE+U.

Energy ... -301.95 eV per cell
Energy of formation from the pure elements ... -25.9 kcal/mol of atoms

```
K6Na2PtW6O36
1.0
-7.505 2.374 5.489
-3.778 -8.754 1.089
3.786 -2.117 8.561
K Na Pt W O
6 2 1 6 36
direct
0.325 0.877 0.325
0.877 0.325 0.325
0.325 0.325 0.877
0.675 0.123 0.675
0.123 0.675 0.675
0.675 0.675 0.123
0.602 0.602 0.602
0.398 0.398 0.398
0.000 0.000 0.000
0.261 0.000 0.739
0.739 0.000 0.261
0.000 0.739 0.261
0.000 0.261 0.739
0.739 0.261 0.000
0.261 0.739 0.000
0.902 0.357 0.902
0.357 0.902 0.902
0.902 0.902 0.357
0.098 0.643 0.098
0.643 0.098 0.098
0.098 0.098 0.643
0.135 0.888 0.135
0.888 0.135 0.135
0.135 0.135 0.888
0.865 0.112 0.865
0.112 0.865 0.865
0.865 0.865 0.112
0.685 0.385 0.130
0.130 0.385 0.685
0.385 0.130 0.685
0.385 0.685 0.130
0.130 0.685 0.385
0.685 0.130 0.385
0.315 0.615 0.870
0.870 0.615 0.315
0.615 0.870 0.315
0.615 0.315 0.870
0.870 0.315 0.615
0.315 0.870 0.615
0.804 0.619 0.804
0.619 0.804 0.804
0.804 0.804 0.619
0.196 0.381 0.196
0.381 0.196 0.196
0.196 0.196 0.381
0.650 0.832 0.650
0.832 0.650 0.650
0.650 0.650 0.832
0.350 0.168 0.350
0.168 0.350 0.350
0.350 0.350 0.168
```

MgMn6O10F2 after structural relaxation, computed with PBE+U.

Energy ... -131.93 eV per cell
Energy of formation from the pure elements ... -48.4 kcal/mol of atoms

```
MgMn6O10F2
1.0
6.910 -2.677 3.376
-0.660 -4.567 3.334
2.338 -4.859 -2.393
Mg Mn O F
1 6 10 2
direct
0.837 0.661 0.152
0.801 0.651 0.658
0.649 0.306 0.346
0.347 0.662 0.658
0.199 0.354 0.353
0.482 0.007 0.002
0.993 0.046 0.010
0.654 0.019 0.644
0.338 0.374 0.981
0.637 0.553 0.518
0.925 0.257 0.224
0.730 0.078 0.117
0.378 0.434 0.459
0.333 0.980 0.366
0.655 0.635 0.028
0.000 0.322 0.702
0.996 0.702 0.307
0.280 0.915 0.889
0.034 0.783 0.814
```

YMo3O8 after structural relaxation, computed with PBE+U.

Energy ... -91.61 eV per cell
Energy of formation from the pure elements ... -54.0 kcal/mol of atoms

```
YMo3O8
1.0
-0.635 -3.638 -5.030
4.094 0.498 -4.683
2.750 -3.314 2.029
Y Mo O
1 3 8
direct
0.000 0.000 0.000
0.500 0.500 0.500
0.000 0.500 0.500
0.500 0.000 0.500
0.357 0.813 0.276
0.660 0.660 0.715
0.187 0.643 0.724
0.173 0.173 0.715
0.813 0.357 0.276
0.340 0.340 0.285
0.827 0.827 0.285
0.643 0.187 0.724
```